This record from the Materials Project database describes Li3Mn4B4O12 after structural relaxation. The functional is PBE+U.

## Properties
offset from the most stable computed form = 0.008 eV per atom
space group = No. 1
E_form = -2.46 eV/atom
M_tot = 19.000 μB per formula unit
E_tot = -7.402 eV per atom

Cell lengths 5.296, 9.049, 10.880 Å; angles 100.18, 100.92, 89.40 degrees
Element x y z (fractional)
Li: 0.505 0.108 0.159
Li: 0.751 0.633 0.327
Li: 0.238 0.140 0.341
Li: 0.249 0.359 0.655
Li: 0.990 0.395 0.841
Li: 0.503 0.882 0.830
Mn: 0.975 0.269 0.119
Mn: 0.480 0.755 0.122
Mn: 0.765 0.984 0.381
Mn: 0.271 0.494 0.374
Mn: 0.723 0.523 0.622
Mn: 0.233 0.005 0.620
Mn: 0.516 0.233 0.874
Mn: 0.027 0.749 0.877
B: 0.983 0.936 0.122
B: 0.494 0.424 0.136
B: 0.756 0.320 0.371
B: 0.263 0.817 0.371
B: 0.740 0.187 0.629
B: 0.240 0.677 0.633
B: 0.507 0.569 0.870
B: 0.015 0.069 0.872
O: 0.569 0.282 0.082
O: 0.638 0.549 0.144
O: 0.141 0.063 0.151
O: 0.002 0.314 0.342
O: 0.747 0.938 0.160
O: 0.269 0.427 0.189
O: 0.077 0.800 0.062
O: 0.601 0.194 0.350
O: 0.663 0.463 0.414
O: 0.497 0.801 0.331
O: 0.839 0.053 0.580
O: 0.108 0.693 0.368
O: 0.887 0.319 0.652
O: 0.176 0.959 0.412
O: 0.494 0.192 0.660
O: 0.308 0.534 0.568
O: 0.394 0.799 0.647
O: 0.929 0.213 0.913
O: 0.752 0.568 0.841
O: 0.252 0.050 0.836
O: 0.026 0.677 0.691
O: 0.857 0.946 0.868
O: 0.355 0.442 0.849
O: 0.410 0.710 0.913